First-principles (PBE) data for Na5Zn2Sn2P5SO24 after structural relaxation, as listed in Materials Project.

The structure in POSCAR format:
```
Na5Zn2Sn2P5SO24
1.0
8.9256 -0.0112 0.0209
-4.4725 7.7254 -0.0374
0.0538 -0.0802 22.4048
Sn P O Na Zn S
6 15 72 15 6 3
direct
0.9903 0.9972 0.1477
0.3291 0.6682 0.8203
0.6675 0.3307 0.9817
0.9993 0.9990 0.6478
0.3311 0.6729 0.5193
0.6742 0.3285 0.4863
0.9993 0.7091 0.7518
0.2944 0.2950 0.7513
0.9608 0.6294 0.0849
0.7024 0.7014 0.2524
0.3735 0.3347 0.0864
0.3318 0.9656 0.9195
0.7076 0.9979 0.7526
0.0367 0.6666 0.4156
0.6651 0.6296 0.5833
0.0343 0.3669 0.9192
0.0011 0.2942 0.2513
0.6251 0.9628 0.4154
0.3708 0.0408 0.5853
0.9672 0.3326 0.5857
0.6637 0.0369 0.0857
0.8183 0.7809 0.3074
0.9844 0.1681 0.5882
0.8430 0.5251 0.7437
0.1832 0.1964 0.4122
0.4776 0.3222 0.7432
0.9724 0.1735 0.3031
0.3081 0.8432 0.2533
0.8541 0.3608 0.9212
0.3114 0.4814 0.7571
0.6377 0.1435 0.4235
0.3685 0.4754 0.3622
0.3432 0.4869 0.0789
0.6347 0.1132 0.1435
0.1137 0.4774 0.8599
0.4708 0.3544 0.1445
0.4997 0.3630 0.4237
0.2145 0.1804 0.8046
0.9856 0.8170 0.0886
0.6820 0.5196 0.2451
0.5037 0.8586 0.0772
0.9664 0.7917 0.8054
0.1885 0.1603 0.0884
0.1427 0.6516 0.0783
0.8472 0.5013 0.4228
0.3096 0.4554 0.4704
0.8376 0.0312 0.0877
0.0442 0.8262 0.6946
0.1485 0.6874 0.4711
0.1873 0.0203 0.5873
0.7865 0.8220 0.1962
0.4543 0.1524 0.5285
0.8226 0.0293 0.8057
0.3528 0.8580 0.5783
0.1652 0.4764 0.2546
0.5227 0.8886 0.3573
0.8421 0.5452 0.0301
0.5209 0.8271 0.7570
0.7069 0.1621 0.0318
0.8556 0.3002 0.5287
0.8003 0.8177 0.9116
0.1495 0.4969 0.5770
0.1412 0.4542 0.9750
0.5371 0.8389 0.4695
0.8880 0.5264 0.1426
0.0115 0.1876 0.9128
0.7795 0.9534 0.6946
0.0134 0.8256 0.4137
0.8358 0.3082 0.2457
0.1857 0.9700 0.1938
0.6407 0.5029 0.9211
0.4738 0.1159 0.6425
0.5244 0.6335 0.8602
0.1074 0.6313 0.3578
0.5407 0.6845 0.9697
0.1749 0.2214 0.6946
0.1701 0.9789 0.9129
0.5018 0.1499 0.9211
0.6921 0.5471 0.5249
0.6377 0.5255 0.6398
0.2063 0.0271 0.3020
0.5229 0.6883 0.2557
0.8309 0.8122 0.5861
0.3697 0.8894 0.8601
0.8924 0.3637 0.6426
0.3172 0.8621 0.9751
0.8049 0.9790 0.4147
0.6807 0.1540 0.7448
0.1691 0.6925 0.7557
0.5005 0.6466 0.5756
0.0392 0.2188 0.1916
0.4663 0.1562 0.2451
0.4566 0.2940 0.0316
0.6370 0.9997 0.2520
0.3715 0.0130 0.7483
0.6788 0.3286 0.3341
0.9877 0.3590 0.7482
0.9986 0.9985 0.9888
0.3048 0.9627 0.0752
0.3451 0.6627 0.1611
0.3335 0.6667 0.6630
0.9932 0.6211 0.2527
0.0395 0.3459 0.0767
0.3708 0.3758 0.2468
0.6675 0.3290 0.8332
0.6418 0.6300 0.7468
0.0047 0.0041 0.4990
0.7089 0.6793 0.4162
0.6685 0.3355 0.6780
0.6724 0.3407 0.1768
0.3289 0.6652 0.3225
0.3314 0.6665 0.0142
0.9854 0.9969 0.3530
0.0114 0.0106 0.8520
0.2920 0.0004 0.2506
0.6288 0.6651 0.9179
0.3340 0.3695 0.4168
```

Output
**Crystal system**: triclinic
**ΔH_f (0 K)**: -2.392 eV/atom
**Energy**: -243.910 eV/f.u.
**M_tot**: 0.00 μB per formula unit

=====

First-principles (PBE) data for NaZn2Sn2PS5O24 after structural relaxation, as listed in Materials Project.

The structure in POSCAR format:
```
NaZn2Sn2PS5O24
1.0
8.7262 -0.0135 0.0251
-4.3748 7.5735 -0.0051
0.0637 0.0222 22.6943
O Na S Zn Sn P
72 3 15 6 6 3
direct
0.1358 0.4877 0.5759
0.9730 0.8021 0.0885
0.5455 0.8483 0.4679
0.8320 0.0276 0.0900
0.1939 0.0244 0.5902
0.3026 0.4560 0.4675
0.4793 0.1182 0.6370
0.1644 0.6964 0.7556
0.1771 0.9633 0.1947
0.5231 0.8901 0.3612
0.7835 0.8260 0.1949
0.1946 0.1710 0.0896
0.9754 0.1693 0.5903
0.1831 0.2161 0.6967
0.0326 0.8183 0.6969
0.8611 0.5068 0.4215
0.9722 0.1841 0.3043
0.8532 0.3582 0.9210
0.8765 0.5151 0.1374
0.2117 0.0337 0.3059
0.6399 0.1222 0.1377
0.8502 0.2968 0.5304
0.7035 0.5532 0.5301
0.5213 0.6900 0.2556
0.8435 0.3100 0.2444
0.9727 0.7911 0.8041
0.4818 0.3603 0.1365
0.4898 0.3524 0.4205
0.1768 0.9752 0.9085
0.0279 0.8274 0.4107
0.8308 0.8061 0.5900
0.3012 0.8263 0.2558
0.1537 0.6940 0.4677
0.1383 0.6478 0.0784
0.5119 0.6474 0.5760
0.0364 0.2167 0.1965
0.5098 0.8619 0.0777
0.8184 0.7919 0.3062
0.4775 0.1613 0.2450
0.8812 0.3608 0.6374
0.4974 0.1419 0.9218
0.3552 0.4916 0.0778
0.3105 0.4708 0.7558
0.8057 0.9773 0.4091
0.5134 0.6292 0.8631
0.3122 0.8573 0.9708
0.5263 0.8349 0.7575
0.3766 0.8875 0.8632
0.8496 0.5495 0.0306
0.5472 0.6934 0.9706
0.7000 0.1485 0.0305
0.8020 0.8187 0.9083
0.3639 0.4807 0.3601
0.1675 0.1982 0.4088
0.4724 0.3132 0.7432
0.8427 0.5307 0.7443
0.6494 0.1411 0.4221
0.1479 0.4556 0.9726
0.0200 0.1923 0.9080
0.6935 0.5270 0.2450
0.3524 0.8646 0.5759
0.1646 0.4695 0.2560
0.8140 0.0259 0.8036
0.2133 0.1831 0.8032
0.6382 0.5204 0.6371
0.6369 0.4990 0.9222
0.1156 0.4928 0.8612
0.6846 0.1555 0.7440
0.4506 0.2996 0.0296
0.4478 0.1500 0.5301
0.1151 0.6326 0.3606
0.7807 0.9646 0.6969
0.6611 0.3343 0.3330
0.6718 0.3342 0.8290
0.3379 0.6720 0.1636
0.2952 0.2909 0.7509
0.6273 0.6691 0.9175
0.9971 0.7082 0.7518
0.9607 0.6236 0.0852
0.3755 0.0405 0.5836
0.9998 0.2928 0.2504
0.3744 0.3357 0.0844
0.0394 0.6623 0.4180
0.3339 0.3745 0.4171
0.6653 0.6247 0.5836
0.7066 0.0013 0.7517
0.3308 0.9582 0.9176
0.6645 0.0384 0.0855
0.6281 0.9640 0.4181
0.9592 0.3343 0.5837
0.3339 0.6666 0.5268
0.6676 0.3339 0.4902
0.3264 0.6589 0.0135
0.0009 0.0091 0.8551
0.6567 0.3341 0.1877
0.6662 0.3337 0.6794
0.9991 0.9996 0.6461
0.6719 0.3333 0.9809
0.3273 0.6625 0.8139
0.9986 0.9936 0.1469
0.0015 0.9947 0.3541
0.3393 0.6736 0.3160
0.7074 0.7057 0.2504
0.2944 0.0009 0.2502
0.0423 0.3719 0.9176
```

Output
**Crystal system**: triclinic
**ΔH_f (0 K)**: -1.975 eV/atom
**Energy**: -209.362 eV/f.u.
**M_tot**: 0.00 μB per formula unit